240
Lattice="13.214 0.027 -8.851 0.026 27.381 -0.041 -0.203 -0.014 9.118" Properties=species:S:1:pos:R:3 comment="PBE Na9Ca2Ta4Si6P3O36, optimized geometry" relative_energy_mev_per_atom=22 total_energy_ev_per_atom=-7.401 formation_enthalpy_0k_ev_per_atom=-2.976 pbc="T T T"
Na 3.308 6.726 -2.074
Na 3.192 16.283 -2.072
Na 3.451 25.027 -2.268
Na 9.813 6.929 -2.046
Na 9.723 15.909 -2.002
Na 9.808 25.104 -2.023
Na 9.786 2.605 -6.476
Na 10.045 11.349 -6.672
Na 9.928 20.430 -6.520
Na 3.103 2.205 2.444
Na 3.188 11.400 2.422
Na 3.219 20.606 2.359
Na 6.193 0.769 2.160
Na 6.345 10.095 2.497
Na 6.254 19.095 2.295
Na 6.457 8.082 -2.042
Na 6.544 17.200 -2.076
Na 6.586 26.215 -1.922
Na 12.848 5.418 -2.110
Na 12.813 14.473 -2.286
Na 12.965 23.799 -1.949
Na 13.137 3.523 -6.481
Na -0.034 12.511 2.524
Na 13.077 21.786 -6.488
Na 10.801 26.921 -5.341
Na 2.720 8.431 0.865
Na 2.599 26.707 0.640
Na 2.473 9.796 5.424
Na 10.796 0.564 -0.604
Na 10.622 18.994 -0.993
Na 4.181 13.217 -0.896
Na 9.192 13.029 -3.765
Na 9.340 22.135 -3.581
Na 9.093 23.500 0.978
Na 4.002 5.290 3.453
Na 4.202 14.241 3.800
Ca 11.679 25.106 0.578
Ca 11.716 2.459 -3.948
Ca 11.730 11.303 -3.879
Ca 11.824 20.388 -4.035
Ca 5.059 11.402 5.023
Ca 5.204 6.684 0.410
Ca 5.122 16.137 0.456
Ca 5.136 24.980 0.526
Ta 1.271 6.825 4.328
Ta 1.311 15.996 4.197
Ta 1.289 25.083 4.159
Ta 11.594 6.877 0.665
Ta 11.665 15.950 0.655
Ta 1.413 2.333 -0.401
Ta 1.373 11.435 -0.407
Ta 1.405 20.524 -0.432
Ta 7.905 2.319 -0.207
Ta 7.882 11.405 -0.246
Ta 7.891 20.529 -0.118
Ta 5.045 2.246 5.101
Ta 5.001 20.555 5.070
Ta 7.998 6.847 -4.836
Ta 8.033 16.037 -4.847
Ta 7.993 25.139 -4.852
Si 13.060 8.687 -1.956
Si 6.467 22.365 2.449
Si 4.490 8.079 3.762
Si 4.523 17.340 3.818
Si 4.481 26.430 3.683
Si 8.387 8.214 0.991
Si 8.456 17.335 0.986
Si 8.400 26.563 1.010
Si 8.426 0.872 -3.410
Si 8.382 19.168 -3.433
Si 4.613 1.072 -0.824
Si 4.543 10.214 -0.812
Si 4.630 19.404 -0.833
Si 11.117 3.662 -0.586
Si 11.075 12.753 -0.722
Si 11.110 21.783 -0.684
Si 1.836 3.631 5.432
Si 1.780 12.859 5.455
Si 1.793 21.891 5.396
Si 1.762 5.464 1.013
Si 1.833 14.549 0.995
Si 11.223 5.726 -5.237
Si 11.233 14.776 -5.270
Si 11.163 23.918 -5.258
P -0.102 17.769 6.828
P -0.020 27.000 6.683
P 0.053 0.395 2.141
P 0.072 9.434 2.197
P 0.085 18.588 2.107
P 6.491 4.092 2.423
P 6.574 13.322 2.278
P 6.678 4.910 -2.298
P 6.672 14.099 -2.305
P 6.692 23.138 -2.249
P 8.376 9.946 -3.491
P 1.782 23.624 0.914
O 1.777 5.297 5.525
O 1.759 14.548 5.511
O 1.718 23.575 5.420
O 10.898 5.230 -0.132
O 10.977 14.354 -0.226
O 10.896 23.379 -0.664
O 11.170 4.143 -5.439
O 11.077 13.182 -5.386
O 11.097 22.312 -5.152
O 1.850 3.794 0.888
O 1.732 12.892 1.003
O 1.961 22.048 0.928
O 8.353 0.871 1.107
O 8.311 9.897 1.015
O 8.397 19.001 1.080
O 4.357 0.650 4.219
O 4.276 9.675 3.782
O 4.305 18.907 4.272
O 4.477 8.608 -0.706
O 4.577 17.820 -1.034
O 4.484 26.859 -0.982
O 8.555 8.371 -3.477
O 8.470 17.498 -3.558
O 8.352 26.596 -3.443
O 5.413 4.771 1.615
O 5.676 14.164 1.405
O 5.447 23.118 1.524
O 7.213 5.103 3.395
O 7.352 14.246 3.328
O 7.368 23.430 3.422
O 7.375 3.984 -1.228
O 7.422 13.049 -1.364
O 7.459 22.218 -1.212
O 6.053 3.984 -3.365
O 5.937 13.384 -3.409
O 6.111 22.232 -3.345
O 12.270 0.486 -3.000
O 12.040 9.441 -2.881
O 12.033 18.475 -2.831
O 0.732 0.542 7.774
O 0.748 9.726 7.868
O 0.619 18.780 7.800
O 0.839 8.514 3.234
O 0.782 17.661 3.177
O 0.829 26.727 3.041
O 12.705 8.555 -7.749
O 12.673 17.688 -7.811
O 12.557 27.088 -7.855
O 3.215 7.364 4.598
O 3.243 16.490 4.442
O 3.203 25.595 4.299
O 9.864 7.799 0.411
O 9.944 16.975 0.326
O 9.689 26.093 0.183
O 9.635 1.376 -4.318
O 9.516 10.710 -4.141
O 9.491 19.914 -4.297
O 3.290 1.710 -0.060
O 3.292 10.947 0.057
O 3.269 20.000 -0.109
O 9.836 2.813 0.037
O 9.796 11.918 -0.105
O 9.835 21.068 0.152
O 3.324 3.271 4.772
O 3.069 12.389 4.629
O 3.271 21.476 4.816
O 2.871 6.210 0.148
O 3.041 15.053 0.087
O 2.922 24.387 0.264
O 9.863 6.323 -4.513
O 9.910 15.414 -4.506
O 9.912 24.651 -4.389
O 4.454 7.521 2.274
O 4.676 17.349 2.238
O 4.460 26.546 2.086
O 8.167 7.743 2.629
O 8.265 16.874 2.616
O 8.342 26.128 2.695
O 8.433 1.313 -1.774
O 8.220 10.351 -1.943
O 8.389 19.516 -1.770
O 4.665 1.772 -2.311
O 4.337 10.731 -2.296
O 4.703 20.154 -2.272
O 11.269 3.672 -2.167
O 11.054 12.869 -2.318
O 11.074 21.225 -2.172
O 1.645 3.170 7.062
O 1.722 12.424 7.141
O 1.573 21.421 7.034
O 1.769 5.812 2.675
O 1.839 14.991 2.631
O 1.627 24.028 2.462
O 11.296 6.477 -6.677
O 11.285 15.476 -6.757
O 10.957 24.435 -6.742
O 5.933 7.492 4.478
O 5.933 16.615 4.437
O 5.919 25.788 4.263
O 7.234 7.610 0.087
O 7.295 16.774 0.082
O 7.069 26.012 0.343
O 6.961 1.402 -3.903
O 7.088 10.207 -4.233
O 6.875 19.542 -3.891
O 6.030 1.637 -0.127
O 5.988 10.866 -0.178
O 6.021 19.916 -0.036
O 12.527 2.938 0.032
O 12.512 12.111 -0.141
O 12.553 21.195 0.033
O 0.675 3.070 4.528
O 0.449 12.308 4.789
O 0.641 21.287 4.492
O 0.255 5.838 0.555
O 0.367 15.080 0.502
O 0.495 23.885 0.171
O 12.614 6.239 -4.440
O 12.650 15.341 -4.573
O 12.608 24.570 -4.624
O 1.042 7.888 6.006
O 1.003 17.104 5.964
O 1.083 26.210 5.860
O 12.287 7.492 -1.124
O 12.380 16.651 -1.225
O 12.338 25.978 -1.455
O 12.300 1.302 -5.936
O 12.231 10.365 -6.042
O 12.222 19.513 -6.157
O 1.215 1.239 1.474
O 1.184 10.307 1.510
O 1.178 19.468 1.422
O 7.597 3.427 1.560
O 7.677 12.533 1.455
O 7.662 21.592 1.560
O 5.760 2.947 3.220
O 5.718 12.274 2.991
O 5.694 21.169 3.281
O 5.602 5.809 -1.711
O 5.707 14.980 -1.531
O 5.638 24.042 -1.638
O 7.771 5.791 -2.983
O 7.835 14.943 -2.972
O 7.804 24.011 -2.936

14
Lattice="2.768 -4.794 0.000 2.768 4.794 0.000 0.000 0.000 7.562" Properties=species:S:1:pos:R:3 comment="PBE Ca2SiO4, optimized geometry" relative_energy_mev_per_atom=233 total_energy_ev_per_atom=-7.027 spacegroup=P6_3mc formation_enthalpy_0k_ev_per_atom=-3.244 pbc="T T T"
Ca 2.768 -1.598 2.418
Ca 2.768 1.598 6.199
Ca 0.000 0.000 0.456
Ca 0.000 0.000 4.238
Si 2.768 -1.598 6.342
Si 2.768 1.598 2.561
O 2.768 -1.598 0.397
O 2.768 1.598 4.179
O 4.125 -0.814 5.860
O 1.410 -0.814 5.860
O 2.768 -3.165 5.860
O 1.410 0.814 2.079
O 4.125 0.814 2.079
O 2.768 3.165 2.079

8
Lattice="3.695 -6.401 0.000 3.695 6.401 0.000 0.000 0.000 5.975" Properties=species:S:1:pos:R:3 comment="PBE Eu3Bi, optimized geometry" total_energy_ev_per_atom=-9.164 spacegroup=P6_3/mmc formation_enthalpy_0k_ev_per_atom=-0.499 pbc="T T T"
Eu 1.925 1.112 1.494
Eu 5.465 1.112 1.494
Eu 3.695 4.177 1.494
Eu 5.465 -1.112 4.481
Eu 1.925 -1.112 4.481
Eu 3.695 -4.177 4.481
Bi 3.695 2.134 4.481
Bi 3.695 -2.134 1.494